The following is a r²SCAN calculation of CeSm3S4 after structural relaxation, from the Materials Project.

Results
E_form: -2305 meV per atom
Energy: -170.6 eV per cell
M_tot: 1.1 μB/f.u.

The structure in CIF format:
```
data_CeSm3S4
_chemical_formula_sum 'Ce1 Sm3 S4'
_symmetry_space_group_name_H-M 'P 1'
_symmetry_Int_Tables_number 1
_symmetry_space_group_name_Hall 'P 1'
_cell_length_a 6.951
_cell_length_b 6.951
_cell_length_c 6.980
_cell_angle_alpha 99.60
_cell_angle_beta 99.60
_cell_angle_gamma 33.74
loop_
_atom_site_label
_atom_site_type_symbol
_atom_site_fract_x
_atom_site_fract_y
_atom_site_fract_z
Ce1 Ce 0.000 0.000 0.000
Sm1 Sm 0.250 0.250 0.750
Sm2 Sm 0.500 0.500 0.500
Sm3 Sm 0.750 0.750 0.250
S1 S 0.126 0.126 0.378
S2 S 0.373 0.373 0.128
S3 S 0.627 0.627 0.872
S4 S 0.874 0.874 0.622
```


The following is a r²SCAN calculation of SrCd4Pt2 after structural relaxation, from the Materials Project.

Results
E_form: -521 meV per atom
Energy: -404.4 eV per cell
M_tot: 0.0 μB/f.u.

The structure in CIF format:
```
data_SrCd4Pt2
_chemical_formula_sum 'Sr2 Cd8 Pt4'
_symmetry_space_group_name_H-M 'P 1'
_symmetry_Int_Tables_number 1
_symmetry_space_group_name_Hall 'P 1'
_cell_length_a 8.287
_cell_length_b 8.287
_cell_length_c 4.496
_cell_angle_alpha 90.00
_cell_angle_beta 90.00
_cell_angle_gamma 90.00
loop_
_atom_site_label
_atom_site_type_symbol
_atom_site_fract_x
_atom_site_fract_y
_atom_site_fract_z
Sr1 Sr 0.000 0.000 0.000
Sr2 Sr 0.500 0.500 0.500
Cd1 Cd 0.092 0.343 0.500
Cd2 Cd 0.157 0.592 0.000
Cd3 Cd 0.343 0.092 0.500
Cd4 Cd 0.408 0.843 0.000
Cd5 Cd 0.592 0.157 0.000
Cd6 Cd 0.657 0.908 0.500
Cd7 Cd 0.843 0.408 0.000
Cd8 Cd 0.908 0.657 0.500
Pt1 Pt 0.219 0.781 0.500
Pt2 Pt 0.281 0.281 0.000
Pt3 Pt 0.719 0.719 0.000
Pt4 Pt 0.781 0.219 0.500
```


The following is a r²SCAN calculation of NbSiPt after structural relaxation, from the Materials Project.

Results
E_form: -855 meV per atom
Energy: -350.2 eV per cell
M_tot: 0.0 μB/f.u.

The structure in CIF format:
```
data_NbSiPt
_chemical_formula_sum 'Nb4 Si4 Pt4'
_symmetry_space_group_name_H-M 'P 1'
_symmetry_Int_Tables_number 1
_symmetry_space_group_name_Hall 'P 1'
_cell_length_a 6.479
_cell_length_b 3.827
_cell_length_c 7.390
_cell_angle_alpha 90.00
_cell_angle_beta 90.00
_cell_angle_gamma 90.00
loop_
_atom_site_label
_atom_site_type_symbol
_atom_site_fract_x
_atom_site_fract_y
_atom_site_fract_z
Nb1 Nb 0.027 0.250 0.164
Nb2 Nb 0.473 0.750 0.664
Nb3 Nb 0.527 0.250 0.336
Nb4 Nb 0.973 0.750 0.836
Si1 Si 0.230 0.750 0.374
Si2 Si 0.270 0.250 0.874
Si3 Si 0.730 0.750 0.126
Si4 Si 0.770 0.250 0.626
Pt1 Pt 0.151 0.250 0.566
Pt2 Pt 0.349 0.750 0.066
Pt3 Pt 0.651 0.250 0.934
Pt4 Pt 0.849 0.750 0.434
```


The following is a r²SCAN calculation of NaTl after structural relaxation, from the Materials Project.

Results
E_form: -112 meV per atom
Energy: -227.9 eV per cell
M_tot: 0.0 μB/f.u.

The structure in CIF format:
```
data_NaTl
_chemical_formula_sum 'Na4 Tl4'
_symmetry_space_group_name_H-M 'P 1'
_symmetry_Int_Tables_number 1
_symmetry_space_group_name_Hall 'P 1'
_cell_length_a 5.163
_cell_length_b 5.163
_cell_length_c 10.223
_cell_angle_alpha 90.00
_cell_angle_beta 90.00
_cell_angle_gamma 120.00
loop_
_atom_site_label
_atom_site_type_symbol
_atom_site_fract_x
_atom_site_fract_y
_atom_site_fract_z
Na1 Na 0.333 0.667 0.078
Na2 Na 0.333 0.667 0.422
Na3 Na 0.667 0.333 0.578
Na4 Na 0.667 0.333 0.922
Tl1 Tl 0.000 0.000 0.250
Tl2 Tl 0.000 0.000 0.750
Tl3 Tl 0.333 0.667 0.750
Tl4 Tl 0.667 0.333 0.250
```